A plane-wave DFT calculation with GGA-PBE was carried out for Na3AsH14SO10 after structural relaxation.

Properties
Crystal system   monoclinic
Final energy   -4.92 eV/atom
Maximum piezoelectric response   0.770 C/m2

Geometry as CIF:
```
data_Na3AsH14SO10
_cell_length_a 12.742
_cell_length_b 6.775
_cell_length_c 7.106
_cell_angle_alpha 85.87
_cell_angle_beta 90.00
_cell_angle_gamma 90.00
_symmetry_space_group_name_H-M 'P 1'
_symmetry_Int_Tables_number 1
loop_
_symmetry_equiv_pos_as_xyz
'x,y,z'
loop_
_atom_site_label
_atom_site_type_symbol
_atom_site_fract_x
_atom_site_fract_y
_atom_site_fract_z
O1 O 0.625 0.628 0.004
O2 O 0.446 0.893 0.698
O3 O 0.895 0.706 0.061
O4 O 0.309 0.259 0.467
O5 O 0.415 0.021 0.233
O6 O 0.946 0.107 0.302
O7 O 0.420 0.679 0.027
O8 O 0.125 0.372 0.996
O9 O 0.809 0.741 0.533
O10 O 0.859 0.346 0.594
O11 O 0.359 0.654 0.406
O12 O 0.041 0.476 0.481
O13 O 0.105 0.999 0.625
O14 O 0.605 0.001 0.375
O15 O 0.745 0.386 0.288
O16 O 0.920 0.321 0.973
O17 O 0.915 0.979 0.767
O18 O 0.245 0.614 0.712
O19 O 0.395 0.294 0.939
O20 O 0.541 0.524 0.519
As1 As 0.351 0.800 0.193
As2 As 0.851 0.200 0.807
H1 H 0.144 0.510 0.014
H2 H 0.426 0.811 0.816
H3 H 0.346 0.172 0.380
H4 H 0.830 0.602 0.573
H5 H 0.472 0.580 0.463
H6 H 0.894 0.568 0.021
H7 H 0.589 0.527 0.412
H8 H 0.277 0.645 0.584
H9 H 0.533 0.007 0.312
H10 H 0.033 0.993 0.688
H11 H 0.404 0.200 0.054
H12 H 0.547 0.637 0.019
H13 H 0.394 0.432 0.979
H14 H 0.972 0.420 0.537
H15 H 0.926 0.189 0.184
H16 H 0.089 0.473 0.588
H17 H 0.147 0.895 0.690
H18 H 0.170 0.640 0.697
H19 H 0.330 0.398 0.427
H20 H 0.047 0.363 0.981
H21 H 0.670 0.360 0.303
H22 H 0.647 0.105 0.310
H23 H 0.413 0.829 0.593
H24 H 0.777 0.355 0.416
H25 H 0.913 0.171 0.407
H26 H 0.644 0.490 0.986
H27 H 0.846 0.828 0.620
H28 H 0.904 0.800 0.946
S1 S 0.191 0.861 0.110
S2 S 0.691 0.139 0.890
Na1 Na 0.132 0.203 0.326
Na2 Na 0.239 0.200 0.800
Na3 Na 0.994 0.777 0.323
Na4 Na 0.739 0.800 0.200
Na5 Na 0.494 0.223 0.677
Na6 Na 0.632 0.797 0.674
```

A plane-wave DFT calculation with GGA-PBE was carried out for Eu2Ir2O7 after structural relaxation.

Properties
Crystal system   cubic
Final energy   -8.40 eV/atom

Geometry as CIF:
```
data_Eu2Ir2O7
_cell_length_a 7.401
_cell_length_b 7.401
_cell_length_c 7.401
_cell_angle_alpha 60.00
_cell_angle_beta 60.00
_cell_angle_gamma 60.00
_symmetry_space_group_name_H-M 'P 1'
_symmetry_Int_Tables_number 1
loop_
_symmetry_equiv_pos_as_xyz
'x,y,z'
loop_
_atom_site_label
_atom_site_type_symbol
_atom_site_fract_x
_atom_site_fract_y
_atom_site_fract_z
O1 O 0.453 0.453 0.047
O2 O 0.797 0.203 0.203
O3 O 0.453 0.047 0.453
O4 O 0.500 0.500 0.500
O5 O 0.453 0.047 0.047
O6 O 0.047 0.453 0.453
O7 O 0.047 0.453 0.047
O8 O 0.797 0.203 0.797
O9 O 0.797 0.797 0.203
O10 O 0.047 0.047 0.453
O11 O 0.203 0.797 0.203
O12 O 0.750 0.750 0.750
O13 O 0.203 0.797 0.797
O14 O 0.203 0.203 0.797
Ir1 Ir 0.125 0.125 0.625
Ir2 Ir 0.625 0.125 0.125
Ir3 Ir 0.125 0.125 0.125
Ir4 Ir 0.125 0.625 0.125
Eu1 Eu 0.625 0.625 0.625
Eu2 Eu 0.625 0.125 0.625
Eu3 Eu 0.625 0.625 0.125
Eu4 Eu 0.125 0.625 0.625
```